# 1
# PBE with a Hubbard U Co6O7F5, relaxed
# distance to the lowest polymorph of the same formula = 0.000 eV/atom
# crystal system = monoclinic
# M_tot = 0.945 μB/atom
# formation enthalpy at 0 K = -27.08 eV per formula unit
data_Co6O7F5
_chemical_formula_sum 'Co12 O14 F10'
_space_group_name_H-M_alt 'C 1 m 1'
_space_group_IT_number 8
_cell_length_a 9.219
_cell_length_b 6.154
_cell_length_c 7.668
_cell_angle_alpha 90.00
_cell_angle_beta 118.02
_cell_angle_gamma 90.00
loop_
_space_group_symop_operation_xyz
'x,y,z'
'x,-y,z'
'x+1/2,y+1/2,z'
'x+1/2,-y+1/2,z'
loop_
_atom_site_label
_atom_site_type_symbol
_atom_site_fract_x
_atom_site_fract_y
_atom_site_fract_z
_atom_site_occupancy
Co1 Co 0.000 0.000 0.000 1
Co2 Co 0.003 0.000 0.496 1
Co3 Co 0.155 0.500 0.184 1
Co4 Co 0.168 0.500 0.653 1
Co5 Co 0.336 0.000 0.833 1
Co6 Co 0.345 0.000 0.329 1
O1 O 0.000 0.309 0.006 1
O2 O 0.063 0.500 0.372 1
O3 O 0.171 0.196 0.662 1
O4 O 0.332 0.307 0.329 1
F1 F 0.107 0.000 0.290 1
F2 F 0.227 0.000 0.032 1
F3 F 0.272 0.500 0.952 1
F4 F 0.406 0.500 0.708 1
F5 F 0.438 0.000 0.627 1

---

# 2
# PBE with a Hubbard U Co6O7F5, relaxed
# distance to the lowest polymorph of the same formula = 0.007 eV/atom
# crystal system = monoclinic
# M_tot = 0.699 μB/atom
# formation enthalpy at 0 K = -26.95 eV per formula unit
data_Co6O7F5
_chemical_formula_sum 'Co6 O7 F5'
_space_group_name_H-M_alt 'P 1 m 1'
_space_group_IT_number 6
_cell_length_a 4.537
_cell_length_b 8.945
_cell_length_c 4.554
_cell_angle_alpha 90.00
_cell_angle_beta 94.20
_cell_angle_gamma 90.00
loop_
_space_group_symop_operation_xyz
'x,y,z'
'x,-y,z'
loop_
_atom_site_label
_atom_site_type_symbol
_atom_site_fract_x
_atom_site_fract_y
_atom_site_fract_z
_atom_site_occupancy
Co1 Co 0.000 0.000 0.000 1
Co2 Co 0.027 0.329 0.970 1
Co3 Co 0.498 0.174 0.504 1
Co4 Co 0.524 0.500 0.534 1
O1 O 0.200 0.165 0.185 1
O2 O 0.328 0.340 0.688 1
O3 O 0.814 0.165 0.798 1
O4 O 0.831 0.500 0.800 1
F1 F 0.227 0.500 0.195 1
F2 F 0.303 0.000 0.696 1
F3 F 0.689 0.000 0.310 1
F4 F 0.717 0.343 0.299 1

---

# 3
# PBE with a Hubbard U Co6O5F7, relaxed
# distance to the lowest polymorph of the same formula = 0.059 eV/atom
# crystal system = triclinic
# M_tot = 1.167 μB/atom
# formation enthalpy at 0 K = -29.85 eV per formula unit
data_Co6O5F7
_chemical_formula_sum 'Co6 O5 F7'
_space_group_name_H-M_alt 'P 1'
_space_group_IT_number 1
_cell_length_a 5.571
_cell_length_b 5.571
_cell_length_c 7.020
_cell_angle_alpha 73.43
_cell_angle_beta 73.16
_cell_angle_gamma 73.66
loop_
_space_group_symop_operation_xyz
'x,y,z'
loop_
_atom_site_label
_atom_site_type_symbol
_atom_site_fract_x
_atom_site_fract_y
_atom_site_fract_z
_atom_site_occupancy
Co1 Co 0.000 0.000 0.000 1
Co2 Co 0.004 0.007 0.504 1
Co3 Co 0.324 0.323 0.664 1
Co4 Co 0.374 0.312 0.162 1
Co5 Co 0.685 0.700 0.341 1
Co6 Co 0.696 0.604 0.820 1
O1 O 0.259 0.242 0.447 1
O2 O 0.428 0.414 0.877 1
O3 O 0.672 0.026 0.159 1
O4 O 0.771 0.765 0.544 1
O5 O 0.970 0.332 0.839 1
F1 F 0.049 0.649 0.160 1
F2 F 0.112 0.098 0.190 1
F3 F 0.312 0.700 0.498 1
F4 F 0.356 0.952 0.839 1
F5 F 0.585 0.570 0.135 1
F6 F 0.702 0.313 0.498 1
F7 F 0.900 0.885 0.812 1

---

# 4
# PBE with a Hubbard U Co2O3F, relaxed
# distance to the lowest polymorph of the same formula = 0.012 eV/atom
# crystal system = orthorhombic
# M_tot = 0.534 μB/atom
# formation enthalpy at 0 K = -7.82 eV per formula unit
data_Co2O3F
_chemical_formula_sum 'Co20 O30 F10'
_space_group_name_H-M_alt 'A m m 2'
_space_group_IT_number 38
_cell_length_a 14.755
_cell_length_b 6.050
_cell_length_c 6.324
_cell_angle_alpha 90.00
_cell_angle_beta 90.00
_cell_angle_gamma 90.00
loop_
_space_group_symop_operation_xyz
'x,y,z'
'-x,-y,z'
'-x,y,z'
'x,-y,z'
'x,y+1/2,z+1/2'
'-x,-y+1/2,z+1/2'
'-x,y+1/2,z+1/2'
'x,-y+1/2,z+1/2'
loop_
_atom_site_label
_atom_site_type_symbol
_atom_site_fract_x
_atom_site_fract_y
_atom_site_fract_z
_atom_site_occupancy
Co1 Co 0.000 0.000 0.000 1
Co2 Co 0.100 0.000 0.474 1
Co3 Co 0.200 0.000 0.949 1
Co4 Co 0.300 0.000 0.474 1
Co5 Co 0.400 0.000 0.998 1
Co6 Co 0.500 0.000 0.464 1
O1 O 0.000 0.000 0.284 1
O2 O 0.100 0.194 0.975 1
O3 O 0.200 0.000 0.666 1
O4 O 0.300 0.193 0.972 1
O5 O 0.399 0.000 0.280 1
O6 O 0.500 0.196 0.986 1
F1 F 0.000 0.000 0.694 1
F2 F 0.200 0.000 0.255 1
F3 F 0.403 0.000 0.687 1

---

# 5
# PBE with a Hubbard U CoOF, relaxed
# distance to the lowest polymorph of the same formula = 0.000 eV/atom
# crystal system = orthorhombic
# M_tot = 0.000 μB/atom
# formation enthalpy at 0 K = -4.84 eV per formula unit
data_CoOF
_chemical_formula_sum 'Co4 O4 F4'
_space_group_name_H-M_alt 'C m m m'
_space_group_IT_number 65
_space_group_name_Hall '-C 2 2'
_cell_length_a 6.251
_cell_length_b 7.219
_cell_length_c 2.912
_cell_angle_alpha 90.00
_cell_angle_beta 90.00
_cell_angle_gamma 90.00
loop_
_atom_site_label
_atom_site_type_symbol
_atom_site_fract_x
_atom_site_fract_y
_atom_site_fract_z
_atom_site_occupancy
Co1 Co 0.000 0.000 0.000 1
Co2 Co 0.000 0.500 0.500 1
O1 O 0.190 0.000 0.500 1
F1 F 0.000 0.310 0.000 1

---

# 6
# PBE with a Hubbard U Co2O3F, relaxed
# distance to the lowest polymorph of the same formula = 0.009 eV/atom
# crystal system = orthorhombic
# M_tot = 0.335 μB/atom
# formation enthalpy at 0 K = -7.83 eV per formula unit
data_Co2O3F
_chemical_formula_sum 'Co16 O24 F8'
_space_group_name_H-M_alt 'C m c 21'
_space_group_IT_number 36
_cell_length_a 6.086
_cell_length_b 6.484
_cell_length_c 12.026
_cell_angle_alpha 90.00
_cell_angle_beta 90.00
_cell_angle_gamma 90.00
loop_
_space_group_symop_operation_xyz
'x,y,z'
'-x,-y,z+1/2'
'-x,y,z'
'x,-y,z+1/2'
'x+1/2,y+1/2,z'
'-x+1/2,-y+1/2,z+1/2'
'-x+1/2,y+1/2,z'
'x+1/2,-y+1/2,z+1/2'
loop_
_atom_site_label
_atom_site_type_symbol
_atom_site_fract_x
_atom_site_fract_y
_atom_site_fract_z
_atom_site_occupancy
Co1 Co 0.000 0.003 0.000 1
Co2 Co 0.000 0.007 0.749 1
Co3 Co 0.000 0.464 0.122 1
Co4 Co 0.000 0.473 0.873 1
O1 O 0.000 0.180 0.129 1
O2 O 0.000 0.196 0.872 1
O3 O 0.197 0.483 0.993 1
O4 O 0.204 0.496 0.752 1
F1 F 0.000 0.218 0.622 1
F2 F 0.000 0.224 0.374 1

---

# 7
# PBE with a Hubbard U Co2O3F, relaxed
# distance to the lowest polymorph of the same formula = 0.052 eV/atom
# crystal system = monoclinic
# M_tot = 0.491 μB/atom
# formation enthalpy at 0 K = -7.57 eV per formula unit
data_Co2O3F
_chemical_formula_sum 'Co16 O24 F8'
_space_group_name_H-M_alt 'C 1 2/m 1'
_space_group_IT_number 12
_cell_length_a 8.763
_cell_length_b 6.297
_cell_length_c 8.675
_cell_angle_alpha 90.00
_cell_angle_beta 94.08
_cell_angle_gamma 90.00
loop_
_space_group_symop_operation_xyz
'x,y,z'
'-x,-y,-z'
'-x,y,-z'
'x,-y,z'
'x+1/2,y+1/2,z'
'-x+1/2,-y+1/2,-z'
'-x+1/2,y+1/2,-z'
'x+1/2,-y+1/2,z'
loop_
_atom_site_label
_atom_site_type_symbol
_atom_site_fract_x
_atom_site_fract_y
_atom_site_fract_z
_atom_site_occupancy
Co1 Co 0.000 0.000 0.000 1
Co2 Co 0.000 0.500 0.500 1
Co3 Co 0.104 0.000 0.636 1
Co4 Co 0.134 0.500 0.140 1
Co5 Co 0.240 0.500 0.758 1
O1 O 0.000 0.195 0.500 1
O2 O 0.025 0.500 0.722 1
O3 O 0.042 0.000 0.216 1
O4 O 0.224 0.000 0.026 1
O5 O 0.236 0.199 0.746 1
F1 F 0.000 0.310 0.000 1
F2 F 0.231 0.500 0.532 1

---

# 8
# PBE with a Hubbard U Co6O5F7, relaxed
# distance to the lowest polymorph of the same formula = 0.011 eV/atom
# crystal system = triclinic
# M_tot = 0.722 μB/atom
# formation enthalpy at 0 K = -30.71 eV per formula unit
data_Co6O5F7
_chemical_formula_sum 'Co6 O5 F7'
_space_group_name_H-M_alt 'P 1'
_space_group_IT_number 1
_cell_length_a 5.458
_cell_length_b 5.556
_cell_length_c 7.016
_cell_angle_alpha 74.37
_cell_angle_beta 73.81
_cell_angle_gamma 72.52
loop_
_space_group_symop_operation_xyz
'x,y,z'
loop_
_atom_site_label
_atom_site_type_symbol
_atom_site_fract_x
_atom_site_fract_y
_atom_site_fract_z
_atom_site_occupancy
Co1 Co 0.000 0.000 0.000 1
Co2 Co 0.001 0.969 0.500 1
Co3 Co 0.371 0.247 0.646 1
Co4 Co 0.384 0.306 0.170 1
Co5 Co 0.689 0.629 0.831 1
Co6 Co 0.691 0.637 0.334 1
O1 O 0.107 0.064 0.701 1
O2 O 0.474 0.396 0.364 1
O3 O 0.659 0.972 0.663 1
O4 O 0.715 0.295 0.999 1
O5 O 0.909 0.879 0.297 1
F1 F 0.012 0.341 0.322 1
F2 F 0.063 0.576 0.668 1
F3 F 0.271 0.209 0.966 1
F4 F 0.312 0.690 0.997 1
F5 F 0.370 0.934 0.338 1
F6 F 0.589 0.515 0.634 1
F7 F 0.780 0.746 0.031 1

---

# 9
# PBE with a Hubbard U CoOF, relaxed
# distance to the lowest polymorph of the same formula = 0.040 eV/atom
# crystal system = monoclinic
# M_tot = 1.145 μB/atom
# formation enthalpy at 0 K = -4.72 eV per formula unit
data_CoOF
_chemical_formula_sum 'Co16 O16 F16'
_space_group_name_H-M_alt 'C 1 2 1'
_space_group_IT_number 5
_cell_length_a 6.344
_cell_length_b 6.360
_cell_length_c 12.246
_cell_angle_alpha 90.00
_cell_angle_beta 90.10
_cell_angle_gamma 90.00
loop_
_space_group_symop_operation_xyz
'x,y,z'
'-x,y,-z'
'x+1/2,y+1/2,z'
'-x+1/2,y+1/2,-z'
loop_
_atom_site_label
_atom_site_type_symbol
_atom_site_fract_x
_atom_site_fract_y
_atom_site_fract_z
_atom_site_occupancy
Co1 Co 0.000 0.000 0.000 1
Co2 Co 0.000 0.048 0.500 1
Co3 Co 0.002 0.050 0.750 1
Co4 Co 0.027 0.525 0.875 1
Co5 Co 0.028 0.516 0.375 1
O1 O 0.000 0.339 0.500 1
O2 O 0.000 0.706 0.000 1
O3 O 0.002 0.342 0.249 1
O4 O 0.181 0.024 0.125 1
O5 O 0.183 0.039 0.625 1
F1 F 0.000 0.305 0.000 1
F2 F 0.000 0.734 0.500 1
F3 F 0.002 0.741 0.254 1
F4 F 0.221 0.025 0.874 1
F5 F 0.221 0.036 0.375 1

---

# 10
# PBE with a Hubbard U Co2O3F, relaxed
# distance to the lowest polymorph of the same formula = 0.026 eV/atom
# crystal system = monoclinic
# M_tot = 0.000 μB/atom
# formation enthalpy at 0 K = -7.73 eV per formula unit
data_Co2O3F
_chemical_formula_sum 'Co8 O12 F4'
_space_group_name_H-M_alt 'C 1 m 1'
_space_group_IT_number 8
_cell_length_a 8.901
_cell_length_b 6.088
_cell_length_c 5.958
_cell_angle_alpha 90.00
_cell_angle_beta 131.92
_cell_angle_gamma 90.00
loop_
_space_group_symop_operation_xyz
'x,y,z'
'x,-y,z'
'x+1/2,y+1/2,z'
'x+1/2,-y+1/2,z'
loop_
_atom_site_label
_atom_site_type_symbol
_atom_site_fract_x
_atom_site_fract_y
_atom_site_fract_z
_atom_site_occupancy
Co1 Co 0.000 0.000 0.000 1
Co2 Co 0.000 0.000 0.498 1
Co3 Co 0.038 0.500 0.781 1
Co4 Co 0.466 0.000 0.205 1
O1 O 0.177 0.000 0.922 1
O2 O 0.319 0.500 0.068 1
O3 O 0.498 0.196 0.996 1
O4 O 0.498 0.198 0.490 1
F1 F 0.213 0.000 0.466 1
F2 F 0.288 0.500 0.536 1

---

# 11
# PBE with a Hubbard U Co3O4F2, relaxed
# distance to the lowest polymorph of the same formula = 0.000 eV/atom
# crystal system = monoclinic
# M_tot = 0.801 μB/atom
# formation enthalpy at 0 K = -12.56 eV per formula unit
data_Co3O4F2
_chemical_formula_sum 'Co12 O16 F8'
_space_group_name_H-M_alt 'C 1 2/m 1'
_space_group_IT_number 12
_cell_length_a 6.876
_cell_length_b 6.144
_cell_length_c 8.782
_cell_angle_alpha 90.00
_cell_angle_beta 90.67
_cell_angle_gamma 90.00
loop_
_space_group_symop_operation_xyz
'x,y,z'
'-x,-y,-z'
'-x,y,-z'
'x,-y,z'
'x+1/2,y+1/2,z'
'-x+1/2,-y+1/2,-z'
'-x+1/2,y+1/2,-z'
'x+1/2,-y+1/2,z'
loop_
_atom_site_label
_atom_site_type_symbol
_atom_site_fract_x
_atom_site_fract_y
_atom_site_fract_z
_atom_site_occupancy
Co1 Co 0.000 0.000 0.000 1
Co2 Co 0.000 0.500 0.500 1
Co3 Co 0.001 0.000 0.674 1
Co4 Co 0.036 0.500 0.166 1
O1 O 0.000 0.309 0.000 1
O2 O 0.008 0.306 0.330 1
O3 O 0.179 0.000 0.840 1
F1 F 0.189 0.000 0.493 1
F2 F 0.208 0.000 0.162 1

---

# 12
# PBE with a Hubbard U Co3OF5, relaxed
# distance to the lowest polymorph of the same formula = 0.006 eV/atom
# crystal system = orthorhombic
# M_tot = 1.111 μB/atom
# formation enthalpy at 0 K = -18.72 eV per formula unit
data_Co3OF5
_chemical_formula_sum 'Co12 O4 F20'
_space_group_name_H-M_alt 'A m m 2'
_space_group_IT_number 38
_cell_length_a 9.483
_cell_length_b 6.813
_cell_length_c 6.525
_cell_angle_alpha 90.00
_cell_angle_beta 90.00
_cell_angle_gamma 90.00
loop_
_space_group_symop_operation_xyz
'x,y,z'
'-x,-y,z'
'-x,y,z'
'x,-y,z'
'x,y+1/2,z+1/2'
'-x,-y+1/2,z+1/2'
'-x,y+1/2,z+1/2'
'x,-y+1/2,z+1/2'
loop_
_atom_site_label
_atom_site_type_symbol
_atom_site_fract_x
_atom_site_fract_y
_atom_site_fract_z
_atom_site_occupancy
Co1 Co 0.000 0.000 0.000 1
Co2 Co 0.164 0.000 0.458 1
Co3 Co 0.326 0.000 0.995 1
Co4 Co 0.500 0.000 0.494 1
O1 O 0.163 0.000 0.188 1
F1 F 0.000 0.191 0.487 1
F2 F 0.163 0.000 0.773 1
F3 F 0.330 0.195 0.488 1
F4 F 0.500 0.000 0.188 1
F5 F 0.500 0.000 0.800 1

---

Number 2 is which compound?
Co6O7F5

---

Number 5 is which compound?
CoOF

---

Among the records above, which one has the lowest formation enthalpy at 0 K?
number 8

---

distance to the lowest polymorph of the same formula of number 2 (Co6O7F5)?
0.007 eV/atom